Record 1
Entry from the Materials Project: a relaxed K2PtC4Br2N4 crystal (PBE).

```
26
Lattice="7.314 0.000 0.000 0.000 9.262 0.000 -2.532 0.000 8.435" Properties=species:S:1:pos:R:3 pbc="T T T"
K -0.937 2.036 3.191
K -2.203 2.595 7.408
K 6.985 6.668 1.027
K 5.719 7.226 5.244
Pt 3.657 0.000 0.000
Pt 2.391 4.631 4.217
C 1.900 0.347 0.930
C 0.634 4.284 5.147
C 0.234 0.430 6.680
C 1.500 4.201 2.463
C 3.282 5.061 5.972
C 4.548 8.833 1.755
C 4.148 4.978 3.287
C 2.882 8.915 7.505
Br 0.456 6.837 8.147
Br 1.722 7.057 3.930
Br 3.061 2.206 4.505
Br 4.327 2.426 0.288
N 0.858 0.560 1.419
N -0.408 4.071 5.637
N -0.340 0.672 5.689
N 0.926 3.960 1.471
N 3.856 5.303 6.963
N 5.122 8.591 2.746
N 5.190 5.191 2.798
N 3.924 8.703 7.015
```

**ΔH_f (0 K)**: -0.31 eV per atom
**Total magnetization**: 0.00 Bohr magnetons per cell
**Uncorrected energy**: -6.492 eV/atom
**E (MP2020)**: -6.6032 eV/atom
**SG**: P2_1/c, No. 14

Record 2
Entry from the Materials Project: a relaxed K2OsCBr5O crystal (PBE).

```
40
Lattice="14.833 0.000 0.000 0.000 10.871 0.000 0.000 0.000 7.517" Properties=species:S:1:pos:R:3 pbc="T T T"
K 2.182 10.869 1.288
K 2.182 5.437 1.288
K 5.235 0.002 5.047
K 5.235 5.434 5.047
K 9.598 10.869 2.470
K 9.598 5.437 2.470
K 12.651 0.002 6.229
K 12.651 5.434 6.229
Os 1.685 2.718 5.189
Os 5.731 8.153 1.430
Os 9.102 2.718 6.087
Os 13.147 8.153 2.329
C 0.338 2.718 3.952
C 7.079 8.153 0.193
C 7.754 2.718 7.324
C 14.495 8.153 3.566
Br 0.094 2.718 7.171
Br 1.731 0.200 5.286
Br 1.731 5.235 5.286
Br 3.382 2.718 3.307
Br 3.714 2.718 6.872
Br 3.702 8.153 3.113
Br 4.034 8.153 7.066
Br 5.686 5.635 1.527
Br 5.686 10.670 1.527
Br 7.323 8.153 3.413
Br 7.510 2.718 4.105
Br 9.147 0.200 5.990
Br 9.147 5.235 5.990
Br 10.798 2.718 0.452
Br 11.131 2.718 4.404
Br 11.118 8.153 0.646
Br 11.451 8.153 4.210
Br 13.102 5.635 2.232
Br 13.102 10.670 2.232
Br 14.739 8.153 0.346
O 0.485 8.153 4.401
O 6.932 2.718 0.643
O 7.901 8.153 6.875
O 14.348 2.718 3.116
```

**ΔH_f (0 K)**: -1.04 eV per atom
**Total magnetization**: 4.01 Bohr magnetons per cell
**Uncorrected energy**: -4.557 eV/atom
**E (MP2020)**: -4.6258 eV/atom
**SG**: Pnma, No. 62

Record 3
Entry from the Materials Project: a relaxed K4Zr6CBr18 crystal (PBE).

```
29
Lattice="10.412 0.000 0.000 -2.545 10.247 0.000 -1.854 -5.700 8.812" Properties=species:S:1:pos:R:3 pbc="T T T"
K 1.070 -0.901 2.001
K -0.951 4.206 4.970
K 6.963 0.341 3.843
K 4.943 5.448 6.811
Zr 1.109 0.144 6.823
Zr 1.274 -2.727 8.420
Zr 1.960 5.649 1.149
Zr 4.053 -1.102 7.663
Zr 4.739 7.274 0.392
Zr 4.904 4.403 1.989
C 3.933 5.124 0.000
Br -0.153 1.051 4.369
Br 0.073 -2.230 6.055
Br -2.306 4.863 7.924
Br -1.267 0.847 7.838
Br 0.759 3.250 0.859
Br -0.423 6.308 2.554
Br 3.217 -0.344 5.194
Br 3.417 -3.666 7.065
Br 1.911 2.725 6.960
Br 4.101 1.822 1.852
Br 2.596 8.213 1.748
Br 2.796 4.891 3.618
Br 6.436 -1.761 6.258
Br 5.254 1.297 7.953
Br 7.279 3.700 0.975
Br 8.319 -0.316 0.888
Br 5.940 6.777 2.757
Br 6.166 3.496 4.443
```

**ΔH_f (0 K)**: -1.87 eV per atom
**Uncorrected energy**: -4.794 eV/atom
**E (MP2020)**: -5.1254 eV/atom
**SG**: P-1, No. 2

Record 4
Entry from the Materials Project: a relaxed La5C2Br9 crystal (PBE).

```
64
Lattice="11.438 0.000 0.000 0.000 10.053 0.000 0.000 0.000 16.973" Properties=species:S:1:pos:R:3 pbc="T T T"
La 0.424 2.513 1.112
La 0.814 2.513 14.321
La 1.562 7.540 10.959
La 2.189 5.499 7.644
La 2.189 9.581 7.644
La 3.530 0.473 16.131
La 3.530 4.554 16.131
La 4.157 2.513 2.473
La 4.905 7.540 5.834
La 5.295 7.540 9.599
La 6.143 2.513 7.374
La 6.533 2.513 11.139
La 7.281 7.540 14.500
La 7.908 5.499 0.842
La 7.908 9.581 0.842
La 9.248 0.473 9.329
La 9.248 4.554 9.329
La 9.876 2.513 6.014
La 10.624 7.540 2.652
La 11.014 7.540 15.861
C 2.053 2.513 16.254
C 2.815 7.540 8.962
C 2.904 2.513 0.476
C 3.666 7.540 7.768
C 7.772 2.513 9.205
C 8.534 7.540 16.497
C 8.623 2.513 8.010
C 9.385 7.540 0.719
Br 0.793 0.331 10.333
Br 0.793 4.695 10.333
Br 1.307 2.513 7.441
Br 1.301 5.762 1.006
Br 1.301 9.317 1.006
Br 1.513 2.513 3.843
Br 1.524 5.523 14.009
Br 1.524 9.557 14.009
Br 1.814 7.540 5.019
Br 3.905 2.513 13.505
Br 4.195 0.496 5.523
Br 4.195 4.530 5.523
Br 4.206 7.540 12.329
Br 4.418 0.736 9.492
Br 4.418 4.291 9.492
Br 4.412 7.540 15.928
Br 4.926 5.358 1.847
Br 4.926 9.722 1.847
Br 6.512 0.331 15.126
Br 6.512 4.695 15.126
Br 7.026 2.513 1.045
Br 7.020 5.762 7.480
Br 7.020 9.317 7.480
Br 7.232 2.513 4.644
Br 7.243 5.523 11.450
Br 7.243 9.557 11.450
Br 7.532 7.540 3.468
Br 9.624 2.513 11.954
Br 9.914 0.496 2.964
Br 9.914 4.530 2.964
Br 9.925 7.540 13.130
Br 10.137 0.736 15.967
Br 10.137 4.291 15.967
Br 10.131 7.540 9.531
Br 10.645 5.358 6.639
Br 10.645 9.722 6.639
```

**ΔH_f (0 K)**: -2.00 eV per atom
**Uncorrected energy**: -5.317 eV/atom
**E (MP2020)**: -5.6175 eV/atom
**SG**: Pnma, No. 62

Record 5
Entry from the Materials Project: a relaxed La3C2Br3 crystal (PBE).

```
64
Lattice="5.839 -8.672 0.000 5.839 8.672 0.000 0.000 0.000 17.306" Properties=species:S:1:pos:R:3 pbc="T T T"
La 3.109 4.269 10.805
La 3.308 4.036 15.512
La 5.436 6.188 8.949
La 5.839 6.508 12.980
La 6.241 6.188 17.010
La 3.051 0.238 1.813
La 3.051 -0.238 15.493
La 5.839 2.864 12.980
La 5.690 2.226 0.045
La 5.988 2.226 8.608
La 8.369 4.036 10.448
La 8.569 4.269 15.154
La 3.109 -4.269 6.501
La 3.308 -4.036 1.794
La 5.690 -2.226 17.261
La 5.988 -2.226 8.698
La 5.839 -2.864 4.327
La 8.627 0.238 6.840
La 8.627 -0.238 10.466
La 5.436 -6.188 8.357
La 5.839 -6.508 4.327
La 6.241 -6.188 0.296
La 8.369 -4.036 6.859
La 8.569 -4.269 2.152
C 2.996 2.720 0.549
C 3.052 1.703 16.894
C 5.758 4.857 11.254
C 5.920 4.857 14.706
C 5.779 3.837 10.295
C 5.899 3.837 15.665
C 3.052 -1.703 0.413
C 2.996 -2.720 16.757
C 8.682 2.720 8.104
C 8.626 1.703 9.066
C 5.779 -3.837 7.011
C 5.899 -3.837 1.642
C 5.758 -4.857 6.053
C 5.920 -4.857 2.600
C 8.626 -1.703 8.241
C 8.682 -2.720 9.203
Br 5.839 8.572 2.009
Br 5.839 8.572 6.644
Br 2.768 2.087 8.603
Br 2.897 2.035 13.140
Br 3.094 2.301 4.459
Br 5.700 4.447 6.416
Br 5.978 4.447 2.238
Br 2.768 -2.087 8.703
Br 2.897 -2.035 4.167
Br 3.094 -2.301 12.848
Br 5.616 0.097 10.921
Br 5.616 -0.097 6.386
Br 6.062 0.097 15.039
Br 6.062 -0.097 2.268
Br 8.583 2.301 4.194
Br 8.781 2.035 12.820
Br 8.910 2.087 0.050
Br 5.700 -4.447 10.891
Br 5.978 -4.447 15.069
Br 8.583 -2.301 13.112
Br 8.781 -2.035 4.487
Br 8.910 -2.087 17.256
Br 5.839 -8.572 10.662
Br 5.839 -8.572 15.298
```

**ΔH_f (0 K)**: -1.50 eV per atom
**Total magnetization**: 0.43 Bohr magnetons per cell
**Uncorrected energy**: -6.069 eV/atom
**E (MP2020)**: -6.2691 eV/atom
**SG**: C222_1, No. 20

Record 6
Entry from the Materials Project: a relaxed La4C2Br5 crystal (PBE).

```
11
Lattice="-2.025 4.183 9.305 2.025 -4.183 9.305 2.025 4.183 -9.305" Properties=species:S:1:pos:R:3 pbc="T T T"
La 0.000 0.000 3.014
La 2.025 1.708 0.000
La 0.000 2.475 9.305
La 0.000 0.000 15.595
C 0.000 0.000 0.708
C 0.000 0.000 17.901
Br 2.025 2.295 -3.062
Br 2.025 2.295 3.062
Br 0.000 4.183 0.000
Br 0.000 1.888 6.243
Br 0.000 1.888 12.366
```

**ΔH_f (0 K)**: -1.71 eV per atom
**Uncorrected energy**: -5.689 eV/atom
**E (MP2020)**: -5.9317 eV/atom
**SG**: Immm, No. 71

Record 7
Entry from the Materials Project: a relaxed MnC8Br4N2 crystal (PBE).

```
60
Lattice="8.735 0.000 0.000 0.000 15.157 0.000 -0.715 0.000 11.790" Properties=species:S:1:pos:R:3 pbc="T T T"
Mn 1.816 1.452 2.995
Mn 1.459 6.127 8.891
Mn 6.561 9.030 2.900
Mn 6.204 13.705 8.795
C 0.890 9.891 6.168
C 1.247 12.844 0.273
C 1.046 1.575 8.580
C 1.404 6.003 2.684
C 1.216 0.558 7.246
C 1.573 7.020 1.351
C 1.390 11.107 5.448
C 1.033 11.628 11.343
C 1.379 2.054 7.183
C 1.736 5.524 1.288
C 1.764 9.354 5.081
C 1.407 13.381 10.976
C 2.278 10.089 6.684
C 2.635 12.646 0.788
C 2.794 2.254 7.315
C 3.152 5.324 1.420
C 4.869 9.833 10.370
C 5.226 12.902 4.475
C 5.385 2.511 11.002
C 5.742 5.067 5.107
C 6.614 1.776 0.814
C 6.256 5.803 6.710
C 6.284 9.633 10.502
C 6.641 13.102 4.607
C 6.987 3.529 0.447
C 6.630 4.050 6.342
C 6.447 8.137 10.439
C 6.804 14.598 4.544
C 6.617 9.153 9.106
C 6.974 13.581 3.211
C 6.773 2.312 11.518
C 7.130 5.266 5.622
Br -0.171 2.455 3.448
Br -0.528 5.123 9.343
Br 1.022 8.198 9.662
Br 1.379 14.537 3.767
Br 2.332 1.440 0.785
Br 1.974 6.138 6.680
Br 3.673 2.438 3.848
Br 3.316 5.141 9.743
Br 4.704 10.016 2.047
Br 4.347 12.719 7.942
Br 6.046 9.019 5.110
Br 5.689 13.716 11.006
Br 6.641 0.619 8.023
Br 6.998 6.959 2.128
Br 8.548 10.033 2.447
Br 8.191 12.702 8.342
N 2.433 1.083 8.067
N 2.791 6.495 2.172
N 2.722 10.456 5.314
N 2.365 12.279 11.209
N 5.655 2.878 0.581
N 5.298 4.700 6.476
N 5.230 8.661 9.618
N 5.587 14.074 3.723
```

**ΔH_f (0 K)**: 1.58 eV per atom
**Total magnetization**: 7.60 Bohr magnetons per cell
**Uncorrected energy**: -5.449 eV/atom
**E (MP2020)**: -5.4970 eV/atom
**SG**: P2_1/c, No. 14

Record 8
Entry from the Materials Project: a relaxed MnC8Br4N2 crystal (PBE).

```
60
Lattice="11.889 0.000 0.000 0.000 8.341 0.000 0.000 0.000 16.308" Properties=species:S:1:pos:R:3 pbc="T T T"
Mn 2.960 2.085 1.459
Mn 2.985 6.256 9.613
Mn 8.904 2.085 6.695
Mn 8.930 6.256 14.849
C 0.319 1.076 12.776
C 0.319 3.095 12.776
C 0.352 2.085 11.898
C 0.983 2.085 7.793
C 1.441 1.363 5.694
C 1.441 2.808 5.694
C 1.494 6.256 1.330
C 2.839 2.085 5.954
C 3.106 6.256 14.108
C 4.450 2.085 9.484
C 4.504 5.533 13.848
C 4.504 6.978 13.848
C 4.961 6.256 15.947
C 5.593 6.256 3.744
C 5.626 5.246 4.622
C 5.626 7.265 4.622
C 6.264 1.076 11.686
C 6.264 3.095 11.686
C 6.297 2.085 12.564
C 6.928 2.085 0.361
C 7.385 1.363 2.460
C 7.385 2.808 2.460
C 7.439 6.256 6.824
C 8.784 2.085 2.200
C 9.050 6.256 10.354
C 10.395 2.085 14.978
C 10.449 5.533 10.614
C 10.449 6.978 10.614
C 10.906 6.256 8.515
C 11.537 6.256 4.410
C 11.570 5.246 3.532
C 11.570 7.265 3.532
Br 0.746 2.085 1.587
Br 2.241 4.463 10.731
Br 2.241 8.049 10.731
Br 2.337 6.256 7.460
Br 3.608 2.085 15.614
Br 3.704 0.292 2.577
Br 3.704 3.878 2.577
Br 5.199 6.256 9.741
Br 6.691 2.085 6.567
Br 8.185 4.463 13.731
Br 8.185 8.049 13.731
Br 8.281 6.256 0.694
Br 9.553 2.085 8.848
Br 9.649 0.292 5.577
Br 9.649 3.878 5.577
Br 11.143 6.256 14.721
N 0.390 6.256 1.777
N 2.081 2.085 7.213
N 3.864 6.256 15.367
N 5.555 2.085 9.931
N 6.334 6.256 6.377
N 8.025 2.085 0.941
N 9.809 6.256 9.095
N 11.500 2.085 14.531
```

**ΔH_f (0 K)**: 1.66 eV per atom
**Total magnetization**: 11.42 Bohr magnetons per cell
**Uncorrected energy**: -5.372 eV/atom
**E (MP2020)**: -5.4198 eV/atom
**SG**: Pnma, No. 62